Ba2TmMgCu3O7 after structural relaxation, computed with PBE-GGA.

Cell: 3.664 3.983 14.811 Å, 90.00 90.00 90.00°
Space group Pmm2 (No. 25)
Inequivalent atoms, fractional coordinates:
Ba  0.000  0.000  0.000 [1 per cell]
Ba  0.000  0.000  0.279 [1 per cell]
Tm  0.000  0.000  0.532 [1 per cell]
Mg  0.000  0.000  0.740 [1 per cell]
Cu  0.500  0.500  0.141 [1 per cell]
Cu  0.500  0.500  0.425 [1 per cell]
Cu  0.500  0.500  0.677 [1 per cell]
O  0.000  0.500  0.475 [1 per cell]
O  0.000  0.500  0.763 [1 per cell]
O  0.500  0.000  0.138 [1 per cell]
O  0.500  0.000  0.445 [1 per cell]
O  0.500  0.000  0.651 [1 per cell]
O  0.500  0.500  0.013 [1 per cell]
O  0.500  0.500  0.272 [1 per cell]

Energy relative to the elements: -2.1319 eV/atom
V: 216 Å³/cell